{"formula": "Cu7Si2", "functional": "GGA-PBE", "state": "optimized geometry", "delta_e_f_mev_per_atom": 9, "dft_energy_ev_per_cell": -39.6, "space_group": "P-3m1", "magnetic_moment_mub_per_cell": 0.00, "cell": [[2.0424, -3.5375, 0.0000], [2.0424, 3.5375, 0.0000], [0.0000, 0.0000, 7.5874]], "species": ["Cu", "Cu", "Cu", "Cu", "Cu", "Cu", "Cu", "Si", "Si"], "frac_coords": [[0.3333, 0.6667, 0.1549], [0.6667, 0.3333, 0.8451], [0.3333, 0.6667, 0.4958], [0.6667, 0.3333, 0.5042], [0.0000, 0.0000, 0.3305], [0.0000, 0.0000, 0.6695], [0.0000, 0.0000, 0.0000], [0.3333, 0.6667, 0.8087], [0.6667, 0.3333, 0.1913]]}